{
  "formula": "Rb2MoSO4",
  "functional": "PBE with a Hubbard U",
  "state": "optimized geometry",
  "lattice": [[3.094, 1.787, 11.792], [-3.094, 1.787, 11.792], [0.000, -3.573, 11.792]],
  "species": ["Rb", "Rb", "Rb", "Rb", "Mo", "Mo", "S", "S", "O", "O", "O", "O", "O", "O", "O", "O"],
  "frac_coords": [[0.145, 0.145, 0.145], [0.275, 0.275, 0.275], [0.725, 0.725, 0.725], [0.855, 0.855, 0.855], [0.439, 0.439, 0.439], [0.561, 0.561, 0.561], [0.374, 0.374, 0.374], [0.626, 0.626, 0.626], [0.055, 0.055, 0.055], [0.144, 0.612, 0.612], [0.388, 0.388, 0.856], [0.388, 0.856, 0.388], [0.612, 0.144, 0.612], [0.612, 0.612, 0.144], [0.856, 0.388, 0.388], [0.945, 0.945, 0.945]],
  "corrected_energy_ev_per_fu": -48.2,
  "ef_ev_per_fu": -11.51
}